The following is a DFT calculation (PBE+U) of a geometry-optimized Na6FeS4O16 structure.

Computed properties:
- Formation energy from the elements: -2.14 eV/atom

Structure (CIF):
```
data_Na6FeS4O16
_cell_length_a 9.935
_cell_length_b 9.385
_cell_length_c 8.387
_cell_angle_alpha 90.00
_cell_angle_beta 113.63
_cell_angle_gamma 90.00
_space_group_name_H-M_alt 'P 1 21/c 1'
_space_group_IT_number 14
_space_group_name_Hall '-P 2ybc'
loop_
_atom_site_label
_atom_site_fract_x
_atom_site_fract_y
_atom_site_fract_z
Na1 0.053 0.151 0.411
Na2 0.189 0.015 0.032
Na3 0.390 0.637 0.316
Fe1 0.500 0.000 0.500
S1 0.162 0.647 0.846
S2 0.359 0.194 0.775
O1 0.037 0.603 0.682
O2 0.146 0.585 0.000
O3 0.170 0.694 0.359
O4 0.211 0.245 0.179
O5 0.300 0.594 0.831
O6 0.364 0.104 0.923
O7 0.405 0.106 0.659
O8 0.470 0.186 0.344
```



The following is a DFT calculation (PBE+U) of a geometry-optimized FeOF structure.

Computed properties:
- Formation energy from the elements: -2.02 eV/atom

Structure (CIF):
```
data_FeOF
_cell_length_a 14.147
_cell_length_b 3.091
_cell_length_c 14.167
_cell_angle_alpha 90.00
_cell_angle_beta 90.51
_cell_angle_gamma 90.00
_space_group_name_H-M_alt 'P 1 m 1'
_space_group_IT_number 6
_space_group_name_Hall 'P -2y'
loop_
_atom_site_label
_atom_site_fract_x
_atom_site_fract_y
_atom_site_fract_z
Fe1 0.000 0.000 0.000
Fe2 0.000 0.000 0.331
Fe3 0.160 0.500 0.482
Fe4 0.168 0.500 0.141
Fe5 0.170 0.500 0.810
Fe6 0.334 0.000 0.667
Fe7 0.339 0.000 0.005
Fe8 0.350 0.000 0.315
Fe9 0.497 0.500 0.152
Fe10 0.500 0.500 0.474
Fe11 0.500 0.500 0.808
Fe12 0.644 0.000 0.311
Fe13 0.660 0.000 0.005
Fe14 0.666 0.000 0.666
Fe15 0.831 0.500 0.811
Fe16 0.832 0.500 0.141
Fe17 0.835 0.500 0.477
Fe18 0.999 0.000 0.673
O1 0.062 0.500 0.053
O2 0.063 0.500 0.721
O3 0.064 0.500 0.386
O4 0.229 0.000 0.755
O5 0.230 0.000 0.090
O6 0.394 0.500 0.719
O7 0.396 0.500 0.383
O8 0.401 0.500 0.057
O9 0.437 0.000 0.213
O10 0.557 0.000 0.092
O11 0.562 0.000 0.756
O12 0.563 0.000 0.423
O13 0.592 0.500 0.248
O14 0.724 0.500 0.056
O15 0.728 0.500 0.719
O16 0.894 0.000 0.422
O17 0.894 0.000 0.758
O18 0.895 0.000 0.089
F1 0.097 0.000 0.220
F2 0.097 0.000 0.556
F3 0.098 0.000 0.888
F4 0.233 0.000 0.420
F5 0.262 0.500 0.584
F6 0.263 0.500 0.255
F7 0.267 0.500 0.924
F8 0.430 0.000 0.554
F9 0.430 0.000 0.888
F10 0.594 0.500 0.923
F11 0.596 0.500 0.589
F12 0.725 0.500 0.382
F13 0.762 0.000 0.889
F14 0.763 0.000 0.552
F15 0.766 0.000 0.224
F16 0.930 0.500 0.921
F17 0.931 0.500 0.254
F18 0.931 0.500 0.589
```



The following is a DFT calculation (PBE+U) of a geometry-optimized Li6V3P8O29 structure.

Computed properties:
- Formation energy from the elements: -2.65 eV/atom

Structure (CIF):
```
data_Li6V3P8O29
_cell_length_a 9.760
_cell_length_b 9.784
_cell_length_c 13.973
_cell_angle_alpha 90.16
_cell_angle_beta 90.14
_cell_angle_gamma 119.53
_space_group_name_H-M_alt 'P -1'
_space_group_IT_number 2
_space_group_name_Hall '-P 1'
loop_
_atom_site_label
_atom_site_fract_x
_atom_site_fract_y
_atom_site_fract_z
Li1 0.000 0.000 0.000
Li2 0.000 0.000 0.500
Li3 0.098 0.336 0.436
Li4 0.233 0.334 0.944
Li5 0.237 0.900 0.439
Li6 0.332 0.095 0.060
Li7 0.337 0.237 0.562
V1 0.004 0.564 0.754
V2 0.435 0.997 0.247
V3 0.438 0.439 0.749
P1 0.083 0.308 0.654
P2 0.084 0.779 0.160
P3 0.223 0.312 0.159
P4 0.224 0.914 0.659
P5 0.311 0.090 0.844
P6 0.313 0.224 0.342
P7 0.331 0.664 0.369
P8 0.336 0.667 0.869
O1 0.002 0.781 0.437
O2 0.010 0.209 0.922
O3 0.011 0.805 0.258
O4 0.082 0.463 0.666
O5 0.082 0.747 0.659
O6 0.083 0.340 0.161
O7 0.086 0.623 0.169
O8 0.186 0.511 0.329
O9 0.191 0.671 0.822
O10 0.204 0.002 0.751
O11 0.204 0.201 0.250
O12 0.221 0.002 0.570
O13 0.222 0.219 0.431
O14 0.223 0.223 0.070
O15 0.227 0.012 0.934
O16 0.252 0.333 0.657
O17 0.255 0.920 0.158
O18 0.323 0.809 0.329
O19 0.328 0.513 0.825
O20 0.337 0.661 0.975
O21 0.339 0.664 0.476
O22 0.341 0.082 0.342
O23 0.341 0.260 0.840
O24 0.379 0.467 0.171
O25 0.380 0.914 0.671
O26 0.468 0.380 0.334
O27 0.469 0.089 0.828
O28 0.486 0.672 0.327
O29 0.490 0.812 0.829
```



Number 1: mass density 2.7 g cm⁻³. Number 2: mass density 4.4 g cm⁻³. Number 3: mass density 2.6 g cm⁻³.